Na2HfTaSi2PO12 | PBE | relaxed

Results
- M_tot: 0.00 μB/f.u.
- ΔH_f (0 K): -3172 meV per atom
- DFT total energy: -8.0068 eV/atom

a b c (Å): 8.9932 8.9932 22.7380
angles (deg): 90.11 89.89 119.74
Closest atoms and distances in Å follow each position.
Fractional coordinates of all 114 atoms:
Na  0.9925  0.6293  0.2508  4 O 2.40-2.54
Na  0.3707  0.0075  0.7508  4 O 2.40-2.54
Na  0.6592  0.9626  0.5842  4 O 2.40-2.54
Na  0.0374  0.3408  0.0842  4 O 2.40-2.54
Na  0.3259  0.2960  0.9175  4 O 2.40-2.54
Na  0.7040  0.6741  0.4175  4 O 2.40-2.54
Na  0.0191  0.0032  0.4981  6 O 2.49-2.69
Na  0.9968  0.9809  0.9981  6 O 2.49-2.69
Na  0.6857  0.3365  0.8315  6 O 2.49-2.69
Na  0.6635  0.3143  0.3315  6 O 2.49-2.69
Na  0.3524  0.6698  0.1648  6 O 2.49-2.69
Na  0.3302  0.6476  0.6648  6 O 2.49-2.69
Hf  0.9986  0.0035  0.3541  6 O 1.97-2.13
Hf  0.9965  0.0014  0.8541  6 O 1.97-2.13
Hf  0.6653  0.3368  0.6874  6 O 1.97-2.13
Hf  0.6632  0.3347  0.1874  6 O 1.97-2.13
Hf  0.3320  0.6702  0.0207  6 O 1.97-2.13
Hf  0.3298  0.6680  0.5207  6 O 1.97-2.13
Ta  0.0007  0.0000  0.6460  6 O 1.94-2.11
Ta  0.0000  0.9993  0.1460  6 O 1.94-2.11
Ta  0.6673  0.3333  0.9793  6 O 1.94-2.11
Ta  0.6667  0.3327  0.4793  6 O 1.94-2.11
Ta  0.3340  0.6666  0.3127  6 O 1.94-2.11
Ta  0.3334  0.6660  0.8127  6 O 1.94-2.11
Si  0.7074  0.7129  0.2509  4 O 1.62-1.66
Si  0.0017  0.2917  0.2496  4 O 1.60-1.66
Si  0.2871  0.2926  0.7509  4 O 1.62-1.66
Si  0.7083  0.9983  0.7496  4 O 1.60-1.66
Si  0.3740  0.0462  0.5843  4 O 1.62-1.66
Si  0.6684  0.6250  0.5829  4 O 1.60-1.66
Si  0.9538  0.6260  0.0843  4 O 1.62-1.66
Si  0.3750  0.3316  0.0829  4 O 1.60-1.66
Si  0.0407  0.3796  0.9176  4 O 1.62-1.66
Si  0.3350  0.9583  0.9162  4 O 1.60-1.66
Si  0.6204  0.9593  0.4176  4 O 1.62-1.66
Si  0.0417  0.6650  0.4162  4 O 1.60-1.66
P  0.2882  0.9993  0.2506  4 O 1.51-1.58
P  0.0007  0.7118  0.7506  4 O 1.51-1.58
P  0.9549  0.3326  0.5839  4 O 1.51-1.58
P  0.6674  0.0451  0.0839  4 O 1.51-1.58
P  0.6216  0.6660  0.9173  4 O 1.51-1.58
P  0.3340  0.3784  0.4173  4 O 1.51-1.58
O  0.2045  0.0218  0.3051  1 P 1.51
O  0.8259  0.7944  0.3088  1 Si 1.62
O  0.9809  0.1753  0.3057  1 Si 1.60
O  0.2056  0.1741  0.8088  1 Si 1.62
O  0.9782  0.7955  0.8051  1 P 1.51
O  0.8247  0.0191  0.8057  1 Si 1.60
O  0.7992  0.9717  0.6897  1 Si 1.66
O  0.1628  0.1898  0.6939  1 Si 1.66
O  0.0288  0.8291  0.6955  1 P 1.58
O  0.8102  0.8372  0.1939  1 Si 1.66
O  0.0283  0.2008  0.1897  1 Si 1.66
O  0.1709  0.9712  0.1955  1 P 1.58
O  0.8711  0.3551  0.6384  1 P 1.51
O  0.4926  0.1278  0.6421  1 Si 1.62
O  0.6475  0.5086  0.6390  1 Si 1.60
O  0.8722  0.5074  0.1421  1 Si 1.62
O  0.6449  0.1289  0.1384  1 P 1.51
O  0.4914  0.3525  0.1390  1 Si 1.60
O  0.4658  0.3050  0.0230  1 Si 1.66
O  0.8294  0.5231  0.0272  1 Si 1.66
O  0.6955  0.1625  0.0288  1 P 1.58
O  0.4769  0.1706  0.5272  1 Si 1.66
O  0.6950  0.5342  0.5230  1 Si 1.66
O  0.8375  0.3045  0.5288  1 P 1.58
O  0.5378  0.6884  0.9718  1 P 1.51
O  0.1593  0.4611  0.9754  1 Si 1.62
O  0.3142  0.8419  0.9723  1 Si 1.60
O  0.5389  0.8407  0.4754  1 Si 1.62
O  0.3116  0.4622  0.4718  1 P 1.51
O  0.1581  0.6858  0.4723  1 Si 1.60
O  0.1325  0.6384  0.3564  1 Si 1.66
O  0.4961  0.8565  0.3606  1 Si 1.66
O  0.3622  0.4958  0.3621  1 P 1.58
O  0.1435  0.5039  0.8606  1 Si 1.66
O  0.3616  0.8675  0.8564  1 Si 1.66
O  0.5042  0.6378  0.8621  1 P 1.58
O  0.0139  0.8296  0.4117  1 Si 1.62
O  0.8083  0.9768  0.4102  1 Si 1.63
O  0.1827  0.1988  0.4100  1 P 1.52
O  0.0232  0.1917  0.9102  1 Si 1.63
O  0.1704  0.9861  0.9117  1 Si 1.62
O  0.8012  0.8173  0.9100  1 P 1.52
O  0.9623  0.1620  0.5888  1 P 1.57
O  0.1849  0.0299  0.5908  1 Si 1.64
O  0.8402  0.8184  0.5899  1 Si 1.66
O  0.9701  0.8151  0.0908  1 Si 1.64
O  0.8380  0.0377  0.0888  1 P 1.57
O  0.1816  0.1598  0.0899  1 Si 1.66
O  0.6806  0.1629  0.7450  1 Si 1.62
O  0.4749  0.3101  0.7435  1 Si 1.63
O  0.8493  0.5321  0.7433  1 P 1.52
O  0.6899  0.5251  0.2435  1 Si 1.63
O  0.8371  0.3194  0.2450  1 Si 1.62
O  0.4679  0.1507  0.2433  1 P 1.52
O  0.6290  0.4953  0.9221  1 P 1.57
O  0.8516  0.3633  0.9241  1 Si 1.64
O  0.5069  0.1517  0.9232  1 Si 1.66
O  0.6367  0.1484  0.4241  1 Si 1.64
O  0.5047  0.3710  0.4221  1 P 1.57
O  0.8483  0.4931  0.4232  1 Si 1.66
O  0.3473  0.4962  0.0784  1 Si 1.62
O  0.1416  0.6434  0.0769  1 Si 1.63
O  0.5160  0.8654  0.0766  1 P 1.52
O  0.3566  0.8584  0.5769  1 Si 1.63
O  0.5038  0.6527  0.5784  1 Si 1.62
O  0.1346  0.4840  0.5766  1 P 1.52
O  0.2957  0.8286  0.2554  1 P 1.57
O  0.5182  0.6966  0.2574  1 Si 1.64
O  0.1736  0.4850  0.2565  1 Si 1.66
O  0.3034  0.4818  0.7574  1 Si 1.64
O  0.1714  0.7043  0.7554  1 P 1.57
O  0.5150  0.8264  0.7565  1 Si 1.66

***

Na3Hf2Ta2Si3P3O24 | PBE | relaxed

Results
- M_tot: 0.00 μB/f.u.
- ΔH_f (0 K): -3187 meV per atom
- DFT total energy: -8.1160 eV/atom

a b c (Å): 8.8837 8.9280 22.9448
angles (deg): 90.05 90.02 119.80
Closest atoms and distances in Å follow each position.
Fractional coordinates of all 111 atoms:
Na  0.0000  0.0000  0.0000  6 O 2.55-2.65
Na  0.0025  0.0071  0.4990  6 O 2.57-2.67
Na  0.0327  0.3342  0.9155  4 O 2.34-2.54
Na  0.3321  0.6652  0.3334  6 O 2.59-2.67
Na  0.3386  0.6723  0.8329  6 O 2.56-2.67
Na  0.6596  0.3258  0.1682  6 O 2.58-2.66
Na  0.6670  0.3227  0.6663  6 O 2.46-2.70
Na  0.7017  0.6680  0.5824  4 O 2.31-2.53
Na  0.9672  0.6658  0.0844  4 O 2.34-2.54
Hf  0.0029  0.0075  0.1488  6 O 1.96-2.18
Hf  0.3343  0.6674  0.9791  6 O 2.00-2.13
Hf  0.6657  0.3325  0.0210  6 O 2.00-2.13
Hf  0.6702  0.3271  0.5189  5 O 1.95-2.16
Hf  0.9974  0.0038  0.6475  6 O 1.96-2.19
Hf  0.9967  0.9931  0.8510  6 O 1.97-2.18
Ta  0.0012  0.0009  0.3535  6 O 1.95-2.05
Ta  0.3274  0.6603  0.1896  6 O 1.92-2.09
Ta  0.3343  0.6692  0.6887  6 O 1.93-2.03
Ta  0.3364  0.6671  0.4770  6 O 1.94-2.05
Ta  0.6723  0.3427  0.3131  6 O 1.92-2.10
Ta  0.6729  0.3395  0.8114  6 O 1.92-2.07
Si  0.9996  0.7122  0.2491  4 O 1.62-1.66
Si  0.0015  0.2916  0.7513  4 O 1.62-1.65
Si  0.0440  0.3726  0.0824  4 O 1.61-1.67
Si  0.2917  0.2884  0.2510  4 O 1.61-1.66
Si  0.6197  0.9577  0.5834  4 O 1.61-1.66
Si  0.6703  0.6244  0.4181  4 O 1.62-1.66
Si  0.7088  0.7086  0.7485  4 O 1.61-1.65
Si  0.9565  0.6281  0.9178  4 O 1.61-1.67
Si  0.9579  0.3322  0.4161  4 O 1.62-1.64
P  0.0488  0.6674  0.5828  4 O 1.55
P  0.2921  0.0013  0.7495  4 O 1.53-1.56
P  0.3310  0.3812  0.5829  4 O 1.53-1.56
P  0.3349  0.9540  0.0848  4 O 1.53-1.55
P  0.3786  0.0455  0.4158  4 O 1.53-1.56
P  0.3788  0.3323  0.9160  4 O 1.54-1.56
P  0.6206  0.6674  0.0842  4 O 1.54-1.55
P  0.6651  0.0454  0.9155  4 O 1.53-1.55
P  0.7096  0.0006  0.2511  4 O 1.54-1.55
O  0.0207  0.1824  0.0883  1 Si 1.61
O  0.0265  0.8342  0.3055  1 Si 1.63
O  0.0300  0.8299  0.5879  1 P 1.55
O  0.0360  0.2152  0.8107  1 Si 1.62
O  0.1359  0.6423  0.6375  1 P 1.55
O  0.1436  0.6327  0.9204  1 Si 1.64
O  0.1450  0.5052  0.1385  1 Si 1.67
O  0.1480  0.5066  0.4250  1 Si 1.64
O  0.1580  0.4648  0.0242  1 Si 1.63
O  0.1604  0.6867  0.5287  1 P 1.55
O  0.1663  0.1972  0.3071  1 Si 1.63
O  0.1656  0.4861  0.7396  1 Si 1.64
O  0.1656  0.9626  0.0902  1 P 1.55
O  0.1722  0.2008  0.5884  1 P 1.53
O  0.1756  0.6941  0.2424  1 Si 1.66
O  0.1792  0.9680  0.8039  1 P 1.53
O  0.1937  0.1764  0.9104  1 P 1.54
O  0.1947  0.0221  0.4075  1 P 1.55
O  0.2055  0.1735  0.1933  1 Si 1.61
O  0.2115  0.0317  0.6950  1 P 1.53
O  0.3055  0.8404  0.0301  1 P 1.55
O  0.3072  0.4709  0.5283  1 P 1.56
O  0.3115  0.8383  0.7413  1 P 1.56
O  0.3161  0.4836  0.2415  1 Si 1.66
O  0.3563  0.8619  0.4248  1 P 1.56
O  0.3566  0.4971  0.6370  1 P 1.56
O  0.3600  0.8645  0.1389  1 P 1.55
O  0.3614  0.4968  0.9208  1 P 1.56
O  0.4570  0.1556  0.4709  1 P 1.54
O  0.4623  0.3063  0.9709  1 P 1.54
O  0.4745  0.1595  0.7592  1 P 1.55
O  0.4826  0.3081  0.2602  1 Si 1.63
O  0.4916  0.3532  0.8620  1 P 1.55
O  0.4927  0.1289  0.3620  1 P 1.53
O  0.4937  0.1343  0.0787  1 P 1.53
O  0.4954  0.6446  0.4244  1 Si 1.66
O  0.4979  0.8536  0.6397  1 Si 1.64
O  0.5005  0.3741  0.5780  1 P 1.54
O  0.5064  0.8651  0.9214  1 P 1.53
O  0.5076  0.6467  0.1384  1 P 1.55
O  0.5140  0.6845  0.7401  1 Si 1.65
O  0.5216  0.8291  0.5272  1 Si 1.66
O  0.5291  0.8371  0.2425  1 P 1.55
O  0.5376  0.6937  0.0293  1 P 1.54
O  0.6359  0.1455  0.5799  1 Si 1.61
O  0.6373  0.4982  0.3614  1 Si 1.65
O  0.6380  0.5029  0.0794  1 P 1.55
O  0.6399  0.1346  0.8615  1 P 1.55
O  0.6799  0.5133  0.7597  1 Si 1.65
O  0.6866  0.1590  0.2602  1 P 1.54
O  0.6947  0.1593  0.9701  1 P 1.55
O  0.6971  0.5424  0.4773  1 Si 1.62
O  0.7939  0.8273  0.8055  1 Si 1.61
O  0.7975  0.9712  0.3047  1 P 1.55
O  0.8058  0.8231  0.0898  1 P 1.54
O  0.8065  0.9624  0.5874  1 Si 1.64
O  0.8214  0.0318  0.1964  1 P 1.54
O  0.8237  0.7865  0.6897  1 Si 1.63
O  0.8259  0.3093  0.7592  1 Si 1.65
O  0.8334  0.5173  0.2595  1 Si 1.65
O  0.8345  0.0368  0.9100  1 P 1.55
O  0.8365  0.8156  0.4063  1 Si 1.63
O  0.8389  0.2979  0.4734  1 Si 1.62
O  0.8422  0.5355  0.9760  1 Si 1.63
O  0.8559  0.4954  0.8620  1 Si 1.67
O  0.8568  0.3678  0.0798  1 Si 1.64
O  0.8615  0.3592  0.3597  1 Si 1.63
O  0.8640  0.5084  0.5782  1 P 1.55
O  0.9656  0.7873  0.1895  1 Si 1.62
O  0.9686  0.1715  0.6943  1 Si 1.62
O  0.9792  0.8180  0.9116  1 Si 1.61
O  0.9817  0.1639  0.4067  1 Si 1.63